VASP calculation (PBE with a Hubbard U) on an optimized crystal structure of LiFe2P3O12.

Structure (POSCAR):
```
LiFe2P3O12
1.0
4.005 -2.645 0.000
4.005 2.645 0.000
-0.299 0.000 19.525
Li Fe P O
2 4 6 24
Cartesian
7.959 0.000 3.233
-0.248 0.000 16.292
0.000 0.000 0.000
-0.149 0.000 9.763
-0.156 0.000 13.050
7.867 0.000 6.475
2.619 0.000 11.376
2.737 0.000 4.961
2.575 0.000 17.979
5.136 0.000 1.546
4.974 0.000 14.564
5.092 0.000 8.149
3.536 1.283 11.371
3.626 1.269 5.020
3.460 1.272 18.042
1.767 0.000 6.160
1.758 0.000 10.108
1.619 0.000 19.196
1.758 0.000 12.644
2.006 0.000 3.596
1.827 0.000 16.632
4.251 1.272 1.483
4.174 1.283 8.154
4.084 1.269 14.505
3.626 -1.269 5.020
3.536 -1.283 11.371
3.460 -1.272 18.042
5.883 0.000 2.893
5.705 0.000 15.929
5.952 0.000 6.881
6.092 0.000 0.330
5.953 0.000 9.417
5.943 0.000 13.365
4.251 -1.272 1.483
4.084 -1.269 14.505
4.174 -1.283 8.154
```

## Properties
* DFT formation energy: -39.4 eV per formula unit